# 1
Y2BiO2: relaxed, r²SCAN.

Computed properties:
Crystal system: tetragonal
SG: I4/mmm

a = 3.8712 Å, b = 3.8712 Å, c = 7.2712 Å
α = 105.44°, β = 105.44°, γ = 90.00°
With the nearest neighbours (Å) after each atom.
Atoms (fractional coordinates):
Y (0.3316, 0.3316, 0.6632)  4 O 2.23
O (0.7500, 0.2500, 0.5000)  4 Y 2.23
Bi (0.0000, 0.0000, 0.0000)  8 Y 3.56, 4 Bi 3.87, 8 O 3.88
Y (0.6684, 0.6684, 0.3368)  4 O 2.23
O (0.2500, 0.7500, 0.5000)  4 Y 2.23

# 2
KFeSO4F: relaxed, r²SCAN.

Computed properties:
Crystal system: monoclinic
SG: C2/c

a = 8.1031 Å, b = 8.1031 Å, c = 14.9428 Å
α = 88.61°, β = 88.61°, γ = 62.79°
With the nearest neighbours (Å) after each atom.
Atoms (fractional coordinates):
K (0.7623, 0.5009, 0.0533)  2 F 2.59-2.69, 2 O 2.64-2.70
O (0.0312, 0.5690, 0.6324)  1 S 1.47
O (0.9620, 0.7300, 0.0554)  1 S 1.46
F (0.5457, 0.7113, 0.1866)  2 Fe 1.98-1.99
K (0.7594, 0.9886, 0.9163)  6 O 2.66-2.87, 1 F 2.77
O (0.5494, 0.2644, 0.0243)  1 S 1.45
O (0.7300, 0.9620, 0.5554)  1 S 1.46
F (0.2887, 0.4543, 0.3134)  2 Fe 1.98-1.99
O (0.6777, 0.7081, 0.3752)  1 S 1.48
F (0.7019, 0.0284, 0.3183)  2 Fe 1.95-2.10
S (0.2316, 0.4964, 0.6140)  4 O 1.45-1.51
Fe (0.5745, 0.4255, 0.7500)  2 F 1.99, 4 O 2.14-2.17
K (0.2406, 0.0114, 0.0837)  6 O 2.66-2.87, 1 F 2.77
Fe (0.1286, 0.3760, 0.2473)  2 F 1.95-1.98, 2 O 2.12-2.16
F (0.7113, 0.5457, 0.6866)  2 Fe 1.98-1.99
Fe (0.8714, 0.6240, 0.7527)  2 F 1.95-1.98, 2 O 2.12-2.16
K (0.9886, 0.7594, 0.4163)  6 O 2.66-2.87, 1 F 2.77
O (0.3223, 0.2919, 0.6248)  1 S 1.48
F (0.0284, 0.7019, 0.8183)  2 Fe 1.95-2.10
O (0.0664, 0.0252, 0.8479)  1 S 1.49
O (0.2644, 0.5494, 0.5243)  1 S 1.45
F (0.9716, 0.2981, 0.1817)  2 Fe 1.95-2.10
Fe (0.4255, 0.5745, 0.2500)  2 F 1.99, 4 O 2.14-2.17
O (0.6910, 0.2142, 0.6509)  1 S 1.47
Fe (0.6240, 0.8714, 0.2527)  2 F 1.95-1.98, 2 O 2.12-2.16
O (0.9748, 0.9336, 0.6521)  1 S 1.49
O (0.9336, 0.9748, 0.1521)  1 S 1.49
O (0.0252, 0.0664, 0.3479)  1 S 1.49
O (0.5747, 0.3141, 0.1799)  1 S 1.51
Fe (0.1680, 0.8320, 0.7500)  4 O 2.03-2.15, 2 F 2.10
O (0.9352, 0.6932, 0.2159)  1 S 1.51
O (0.0648, 0.3068, 0.7841)  1 S 1.51
S (0.7684, 0.5036, 0.3860)  4 O 1.45-1.51
O (0.4310, 0.9688, 0.8676)  1 S 1.47
O (0.3090, 0.7858, 0.3491)  1 S 1.47
Fe (0.3760, 0.1286, 0.7473)  2 F 1.95-1.98, 2 O 2.12-2.16
O (0.2700, 0.0380, 0.4446)  1 S 1.46
K (0.5009, 0.7623, 0.5533)  2 F 2.59-2.69, 2 O 2.64-2.70
O (0.2919, 0.3223, 0.1248)  1 S 1.48
S (0.2293, 0.9888, 0.3575)  4 O 1.46-1.51
O (0.3068, 0.0648, 0.2841)  1 S 1.51
O (0.7858, 0.3090, 0.8491)  1 S 1.47
Fe (0.8320, 0.1680, 0.2500)  4 O 2.03-2.15, 2 F 2.10
O (0.3141, 0.5747, 0.6799)  1 S 1.51
F (0.4543, 0.2887, 0.8134)  2 Fe 1.98-1.99
O (0.7081, 0.6777, 0.8752)  1 S 1.48
O (0.5690, 0.0312, 0.1324)  1 S 1.47
O (0.0380, 0.2700, 0.9446)  1 S 1.46
K (0.4991, 0.2377, 0.4467)  2 F 2.59-2.69, 2 O 2.64-2.70
O (0.2142, 0.6910, 0.1509)  1 S 1.47
O (0.4506, 0.7356, 0.9757)  1 S 1.45
S (0.0112, 0.7707, 0.1425)  4 O 1.46-1.51
O (0.6859, 0.4253, 0.3201)  1 S 1.51
O (0.4253, 0.6859, 0.8201)  1 S 1.51
O (0.9688, 0.4310, 0.3676)  1 S 1.47
O (0.6932, 0.9352, 0.7159)  1 S 1.51
O (0.7356, 0.4506, 0.4757)  1 S 1.45
K (0.2377, 0.4991, 0.9467)  2 F 2.59-2.69, 2 O 2.64-2.70
K (0.0114, 0.2406, 0.5837)  6 O 2.66-2.87, 1 F 2.77
S (0.9888, 0.2293, 0.8575)  4 O 1.46-1.51
F (0.2981, 0.9716, 0.6817)  2 Fe 1.95-2.10
S (0.5036, 0.7684, 0.8860)  4 O 1.45-1.51
S (0.4964, 0.2316, 0.1140)  4 O 1.45-1.51
S (0.7707, 0.0112, 0.6425)  4 O 1.46-1.51

# 3
MgO: relaxed, r²SCAN.

Computed properties:
Crystal system: orthorhombic
SG: Ibam

a = 8.0925 Å, b = 8.0925 Å, c = 8.0925 Å
α = 150.25°, β = 135.49°, γ = 54.45°
With the nearest neighbours (Å) after each atom.
Atoms (fractional coordinates):
O (0.3547, 0.6902, 0.6645)  5 Mg 2.01-2.08
O (0.2592, 0.4292, 0.8299)  5 Mg 2.00-2.08
Mg (0.9736, 0.3099, 0.6637)  5 O 2.00-2.08
O (0.6453, 0.3098, 0.3355)  5 Mg 2.01-2.08
Mg (0.5955, 0.4292, 0.1663)  5 O 2.01-2.08
Mg (0.2629, 0.9292, 0.3337)  5 O 2.01-2.08
O (0.7408, 0.5708, 0.1701)  5 Mg 2.00-2.08
O (0.9743, 0.8098, 0.1645)  5 Mg 2.01-2.08
Mg (0.7371, 0.0708, 0.6663)  5 O 2.01-2.08
Mg (0.4045, 0.5708, 0.8337)  5 O 2.01-2.08
Mg (0.6462, 0.8099, 0.8363)  5 O 2.00-2.08
Mg (0.3538, 0.1901, 0.1637)  5 O 2.00-2.08
O (0.5993, 0.9292, 0.6701)  5 Mg 2.00-2.08
O (0.0257, 0.1902, 0.8355)  5 Mg 2.01-2.08
O (0.4007, 0.0708, 0.3299)  5 Mg 2.00-2.08
Mg (0.0264, 0.6901, 0.3363)  5 O 2.00-2.08

# 4
Ho2Ga3Ni: relaxed, r²SCAN.

Computed properties:
Crystal system: monoclinic
SG: Cm

a = 5.4931 Å, b = 5.4931 Å, c = 7.0277 Å
α = 51.22°, β = 51.22°, γ = 46.02°
With the nearest neighbours (Å) after each atom.
Atoms (fractional coordinates):
Ho (0.4542, 0.4542, 0.2962)  8 Ga 2.95-3.16, 3 Ni 2.98-2.99
Ga (0.8236, 0.8236, 0.1235)  2 Ni 2.44, 1 Ga 2.65
Ho (0.5394, 0.5394, 0.7088)  9 Ga 2.94-3.24, 3 Ni 3.12-3.17
Ga (0.8518, 0.8518, 0.6849)  1 Ni 2.43, 2 Ga 2.57
Ga (0.1634, 0.1634, 0.9064)  3 Ga 2.57-2.65, 1 Ni 2.66
Ni (0.1676, 0.1676, 0.2803)  4 Ga 2.43-2.66

# 5
Eu2SeO2: relaxed, r²SCAN.

Computed properties:
Crystal system: trigonal
SG: P-3m1

a = 3.9261 Å, b = 3.9262 Å, c = 7.0741 Å
α = 90.00°, β = 90.00°, γ = 120.00°
With the nearest neighbours (Å) after each atom.
Atoms (fractional coordinates):
Se (0.0001, 0.0000, 0.0000)  6 Eu 3.08
Eu (0.3333, 0.6667, 0.2939)  4 O 2.34-2.35
O (0.3333, 0.6667, 0.6262)  4 Eu 2.34-2.35
O (0.6666, 0.3333, 0.3738)  4 Eu 2.34-2.35
Eu (0.6666, 0.3333, 0.7061)  4 O 2.34-2.35

# 6
DyGa2: relaxed, r²SCAN.

Computed properties:
Crystal system: hexagonal
SG: P6/mmm

a = 4.1658 Å, b = 4.1658 Å, c = 4.1156 Å
α = 90.00°, β = 90.00°, γ = 120.00°
With the nearest neighbours (Å) after each atom.
Atoms (fractional coordinates):
Ga (0.6667, 0.3333, 0.5000)  3 Ga 2.41
Ga (0.3333, 0.6667, 0.5000)  3 Ga 2.41
Dy (0.0000, 0.0000, 0.0000)  12 Ga 3.17

# 7
Ti3O4: relaxed, r²SCAN.

Computed properties:
Crystal system: tetragonal
SG: I4/mmm

a = 5.0256 Å, b = 5.0256 Å, c = 5.0256 Å
α = 131.46°, β = 131.46°, γ = 71.09°
With the nearest neighbours (Å) after each atom.
Atoms (fractional coordinates):
Ti (0.2500, 0.7500, 0.5000)  6 O 2.04-2.07
O (0.5000, 0.0000, 0.5000)  4 Ti 2.04-2.07
O (0.2441, 0.2441, 0.0000)  5 Ti 2.07-2.09
O (0.0000, 0.5000, 0.5000)  4 Ti 2.04-2.07
Ti (0.5000, 0.5000, 0.0000)  6 O 2.07-2.09
Ti (0.7500, 0.2500, 0.5000)  6 O 2.04-2.07
O (0.7559, 0.7559, 0.0000)  5 Ti 2.07-2.09

# 8
Nd4MgPt: relaxed, r²SCAN.

Computed properties:
Crystal system: cubic
SG: F-43m

a = 10.0786 Å, b = 10.0785 Å, c = 10.0786 Å
α = 60.00°, β = 60.00°, γ = 60.00°
With the nearest neighbours (Å) after each atom.
Atoms (fractional coordinates):
Nd (0.9356, 0.5644, 0.9356)  2 Mg 3.44, 2 Pt 3.66, 10 Nd 3.66-3.78
Mg (0.2617, 0.5794, 0.5794)  3 Mg 3.20, 3 Nd 3.44
Nd (0.3478, 0.3478, 0.3478)  3 Pt 2.93
Nd (0.8097, 0.1903, 0.8097)  2 Pt 2.95
Nd (0.8097, 0.1903, 0.1903)  2 Pt 2.95
Nd (0.9356, 0.5644, 0.5644)  2 Mg 3.44, 2 Pt 3.66, 10 Nd 3.66-3.78
Nd (0.8097, 0.8097, 0.1903)  2 Pt 2.95
Nd (0.9356, 0.9356, 0.5644)  2 Mg 3.44, 2 Pt 3.66, 10 Nd 3.66-3.78
Pt (0.1426, 0.5722, 0.1426)  6 Nd 2.93-2.95
Pt (0.5722, 0.1426, 0.1426)  6 Nd 2.93-2.95
Pt (0.1426, 0.1426, 0.1426)  6 Nd 2.93-2.95
Mg (0.5794, 0.2617, 0.5794)  3 Mg 3.20, 3 Nd 3.44
Nd (0.5644, 0.9356, 0.5644)  2 Mg 3.44, 2 Pt 3.66, 10 Nd 3.66-3.78
Nd (0.5644, 0.5644, 0.9356)  2 Mg 3.44, 2 Pt 3.66, 10 Nd 3.66-3.78
Mg (0.5794, 0.5794, 0.5794)  3 Mg 3.20, 3 Nd 3.44
Nd (0.3478, 0.3478, 0.9567)  3 Pt 2.93
Nd (0.3478, 0.9567, 0.3478)  3 Pt 2.93
Pt (0.1426, 0.1426, 0.5722)  6 Nd 2.93-2.95
Nd (0.1903, 0.8097, 0.1903)  2 Pt 2.95
Nd (0.1903, 0.1903, 0.8097)  2 Pt 2.95
Mg (0.5794, 0.5794, 0.2617)  3 Mg 3.20, 3 Nd 3.44
Nd (0.1903, 0.8097, 0.8097)  2 Pt 2.95
Nd (0.5644, 0.9356, 0.9356)  2 Mg 3.44, 2 Pt 3.66, 10 Nd 3.66-3.78
Nd (0.9567, 0.3478, 0.3478)  3 Pt 2.93

Number 1: formation energy from the elements -2.95 eV per atom. Number 2: formation energy from the elements -1.92 eV per atom. Number 3: formation energy from the elements -2.89 eV per atom. Number 4: formation energy from the elements -0.71 eV per atom. Number 5: formation energy from the elements -2.71 eV per atom. Number 6: formation energy from the elements -0.77 eV per atom. Number 7: formation energy from the elements -3.01 eV per atom. Number 8: formation energy from the elements -0.52 eV per atom.